Compound: NbPd3
Source: the Materials Project database
Functional: GGA-PBE
Structure: optimized geometry

## Properties
The space-group type is No. 139. The calculation puts the calculated volume at 62.97 Å³/cell. The formation enthalpy at 0 K is -0.423 eV/atom. Its crystal system is tetragonal. Its raw total energy is -6.83 eV per atom.

Cell: 4.914 4.914 4.914 Å, 132.67 132.67 69.17°
Atoms (fractional coordinates):
Nb1 0.000 0.000 0.000
Pd1 0.250 0.750 0.500
Pd2 0.500 0.500 0.000
Pd3 0.750 0.250 0.500